# Li3MnVP3O12 | the Materials Project database | PBE with a Hubbard U | optimized geometry
data_Li3MnVP3O12
_chemical_formula_sum 'Li24 Mn8 V8 P24 O96'
_symmetry_space_group_name_H-M 'C 1 2 1'
_symmetry_Int_Tables_number 5
_cell_length_a 14.1546
_cell_length_b 13.7641
_cell_length_c 9.9360
_cell_angle_alpha 90.00
_cell_angle_beta 94.81
_cell_angle_gamma 90.00
loop_
_symmetry_equiv_pos_as_xyz
'x,y,z'
'-x,y,-z'
'x+1/2,y+1/2,z'
'-x+1/2,y+1/2,-z'
loop_
_atom_site_label
_atom_site_fract_x
_atom_site_fract_y
_atom_site_fract_z
Li1 0.1420 0.0000 0.4782
Li2 0.1476 0.3819 0.1088
Li3 0.1517 0.2193 0.6120
Li4 0.1607 0.5917 0.9825
Li5 0.1886 0.8445 0.6799
Li6 0.2355 0.5817 0.2570
Mn1 0.0000 0.0423 0.0000
Mn2 0.0000 0.7692 0.5000
Mn3 0.1012 0.1601 0.2219
V1 0.0000 0.5489 0.5000
V2 0.0000 0.8241 0.0000
V3 0.1157 0.4385 0.7187
P1 0.0095 0.9534 0.7015
P2 0.0135 0.6288 0.2006
P3 0.1062 0.3586 0.3976
P4 0.1135 0.2336 0.8937
P5 0.1949 0.9456 0.0751
P6 0.2082 0.6412 0.5790
O1 0.0206 0.9369 0.8614
O2 0.0234 0.7260 0.8669
O3 0.0247 0.1613 0.8732
O4 0.0249 0.4380 0.3728
O5 0.0272 0.6455 0.3575
O6 0.0480 0.8698 0.3654
O7 0.0493 0.0474 0.3320
O8 0.0662 0.2564 0.3641
O9 0.0686 0.5531 0.8310
O10 0.0791 0.3353 0.8422
O11 0.1077 0.5970 0.1521
O12 0.1108 0.9604 0.6571
O13 0.1287 0.0390 0.0750
O14 0.1305 0.8527 0.0453
O15 0.1380 0.5513 0.5841
O16 0.1410 0.2431 0.0478
O17 0.1415 0.3571 0.5511
O18 0.1513 0.7357 0.5648
O19 0.1834 0.3867 0.3058
O20 0.1889 0.1923 0.8094
O21 0.2283 0.1186 0.5357
O22 0.2316 0.1461 0.2821
O23 0.2369 0.4643 0.0329
O24 0.2461 0.9348 0.2163
# * energy: -140.0 eV per formula unit
# * energy of formation: -52.0 eV/f.u.
# * distance to the lowest polymorph of the same formula: 54 meV/atom
# * crystal system: monoclinic

# Li3MnVP3O12 | the Materials Project database | PBE with a Hubbard U | optimized geometry
data_Li3MnVP3O12
_chemical_formula_sum 'Li6 Mn2 V2 P6 O24'
_symmetry_space_group_name_H-M 'P 1'
_symmetry_Int_Tables_number 1
_cell_length_a 8.4003
_cell_length_b 8.4263
_cell_length_c 9.2743
_cell_angle_alpha 90.26
_cell_angle_beta 116.79
_cell_angle_gamma 119.78
loop_
_symmetry_equiv_pos_as_xyz
'x,y,z'
loop_
_atom_site_label
_atom_site_fract_x
_atom_site_fract_y
_atom_site_fract_z
Li1 0.0000 0.0000 0.0000
Li2 0.1039 0.4787 0.2140
Li3 0.2681 0.4700 0.5377
Li4 0.4470 0.0530 0.2595
Li5 0.6622 0.4025 0.9859
Li6 0.8718 0.8064 0.2774
Mn1 0.3593 0.8858 0.5714
Mn2 0.7856 0.5947 0.6967
V1 0.3731 0.3964 0.0908
V2 0.7406 0.0751 0.1603
P1 0.2537 0.1937 0.3713
P2 0.2758 0.9979 0.8853
P3 0.5628 0.6861 0.8891
P4 0.5652 0.7798 0.3741
P5 0.8488 0.4687 0.3713
P6 0.8629 0.2738 0.8792
O1 0.0593 0.2503 0.9622
O2 0.0612 0.2233 0.3013
O3 0.0663 0.8810 0.8826
O4 0.0708 0.5730 0.3862
O5 0.1729 0.9891 0.3827
O6 0.2666 0.9632 0.7224
O7 0.3184 0.2067 0.2330
O8 0.3771 0.2185 0.9593
O9 0.3889 0.5684 0.2385
O10 0.4112 0.5592 0.9528
O11 0.4292 0.3537 0.5364
O12 0.4300 0.6995 0.7180
O13 0.4329 0.8578 0.3682
O14 0.4421 0.9605 0.0278
O15 0.6828 0.1155 0.7170
O16 0.6857 0.6020 0.8847
O17 0.6900 0.7589 0.5408
O18 0.7054 0.5247 0.2277
O19 0.7124 0.9009 0.3030
O20 0.7377 0.2470 0.3011
O21 0.7421 0.8916 0.0254
O22 0.7964 0.2535 0.0225
O23 0.8606 0.5125 0.5336
O24 0.9379 0.4772 0.8767
# * energy: -140.4 eV per formula unit
# * energy of formation: -52.5 eV/f.u.
# * distance to the lowest polymorph of the same formula: 33 meV/atom
# * crystal system: triclinic

# Li6MnV3P6O24 | the Materials Project database | PBE with a Hubbard U | optimized geometry
data_Li6MnV3P6O24
_chemical_formula_sum 'Li12 Mn2 V6 P12 O48'
_symmetry_space_group_name_H-M 'P 1'
_symmetry_Int_Tables_number 1
_cell_length_a 8.6801
_cell_length_b 8.7294
_cell_length_c 15.0500
_cell_angle_alpha 106.10
_cell_angle_beta 90.00
_cell_angle_gamma 118.62
loop_
_symmetry_equiv_pos_as_xyz
'x,y,z'
loop_
_atom_site_label
_atom_site_fract_x
_atom_site_fract_y
_atom_site_fract_z
Li1 0.0000 0.0000 0.0000
Li2 0.0111 0.5354 0.6332
Li3 0.0395 0.5700 0.3572
Li4 0.0889 0.0358 0.5520
Li5 0.1280 0.4976 0.8663
Li6 0.1944 0.0709 0.2045
Li7 0.4975 0.9953 0.4927
Li8 0.5127 0.5370 0.1311
Li9 0.5388 0.5699 0.8577
Li10 0.5921 0.0376 0.0541
Li11 0.6354 0.4993 0.3620
Li12 0.6920 0.0707 0.7042
Mn1 0.1143 0.3896 0.1102
Mn2 0.8603 0.8894 0.3642
V1 0.0456 0.1072 0.7606
V2 0.3006 0.6080 0.5053
V3 0.3613 0.8906 0.8637
V4 0.5470 0.1073 0.2613
V5 0.6137 0.3914 0.6121
V6 0.8027 0.6072 0.0057
P1 0.2334 0.7940 0.0597
P2 0.3031 0.4960 0.7086
P3 0.3156 0.2095 0.4223
P4 0.3429 0.2915 0.9495
P5 0.3516 0.9960 0.6604
P6 0.4269 0.7073 0.3087
P7 0.7327 0.7914 0.5590
P8 0.8056 0.4886 0.2057
P9 0.8152 0.2073 0.9216
P10 0.8448 0.2947 0.4499
P11 0.8489 0.9888 0.1626
P12 0.9267 0.7081 0.8096
O1 0.0323 0.1364 0.1487
O2 0.0365 0.4547 0.4578
O3 0.0641 0.8058 0.0390
O4 0.0946 0.6962 0.8319
O5 0.1245 0.3337 0.7165
O6 0.1248 0.0666 0.4268
O7 0.1890 0.6032 0.0580
O8 0.2103 0.0565 0.6756
O9 0.2287 0.3037 0.8754
O10 0.2557 0.5581 0.6312
O11 0.2746 0.8346 0.5669
O12 0.2873 0.3274 0.0492
O13 0.2972 0.6624 0.3811
O14 0.3231 0.1012 0.9243
O15 0.3380 0.5672 0.2103
O16 0.3392 0.9524 0.1521
O17 0.3489 0.4069 0.4451
O18 0.3578 0.8392 0.9846
O19 0.3610 0.1627 0.3217
O20 0.3780 0.6497 0.8067
O21 0.3991 0.9438 0.7423
O22 0.4363 0.2002 0.4946
O23 0.4496 0.4437 0.6911
O24 0.4827 0.9067 0.3156
O25 0.5340 0.4520 0.9589
O26 0.5354 0.1502 0.6491
O27 0.5636 0.8015 0.5382
O28 0.5932 0.6928 0.3325
O29 0.6235 0.0670 0.9250
O30 0.6251 0.3240 0.2105
O31 0.6877 0.6024 0.5622
O32 0.7107 0.0534 0.1778
O33 0.7312 0.3072 0.3751
O34 0.7594 0.5531 0.1291
O35 0.7652 0.8240 0.0700
O36 0.7932 0.3384 0.5494
O37 0.7980 0.6621 0.8825
O38 0.8223 0.1046 0.4280
O39 0.8347 0.5659 0.7125
O40 0.8412 0.9537 0.6496
O41 0.8519 0.4058 0.9448
O42 0.8546 0.8277 0.4813
O43 0.8590 0.1603 0.8205
O44 0.8765 0.6369 0.3042
O45 0.8960 0.9369 0.2454
O46 0.9332 0.1934 0.9934
O47 0.9534 0.4367 0.1877
O48 0.9797 0.9057 0.8144
# * energy: -282.3 eV per formula unit
# * energy of formation: -106.4 eV/f.u.
# * distance to the lowest polymorph of the same formula: 26 meV/atom
# * crystal system: triclinic

Q: What is the formula in the first record?
A: Li3MnVP3O12

Q: Among the records above, which one has the highest energy of formation?
A: number 1

Q: Which value of distance to the lowest polymorph of the same formula does entry 2 give?
A: 33 meV/atom

Q: The lowest energy of formation belongs to which entry?
A: Li6MnV3P6O24